[1]
{
  "formula": "Tb5Ir2",
  "functional": "PBE",
  "state": "relaxed",
  "lattice_angstrom": [[7.956, -3.262, 0.000], [7.956, 3.262, 0.000], [-0.848, 0.000, 7.155]],
  "species": ["Tb", "Tb", "Tb", "Tb", "Tb", "Tb", "Tb", "Tb", "Tb", "Tb", "Ir", "Ir", "Ir", "Ir"],
  "fractional_positions": [[0.071, 0.929, 0.750], [0.154, 0.287, 0.318], [0.287, 0.154, 0.818], [0.289, 0.529, 0.082], [0.471, 0.711, 0.418], [0.529, 0.289, 0.582], [0.711, 0.471, 0.918], [0.713, 0.846, 0.182], [0.846, 0.713, 0.682], [0.929, 0.071, 0.250], [0.105, 0.674, 0.427], [0.326, 0.895, 0.073], [0.674, 0.105, 0.927], [0.895, 0.326, 0.573]],
  "final_energy_ev_per_atom": -6.48,
  "formation_energy_mev_per_atom": -641
}



[2]
{
  "formula": "TbIr2",
  "functional": "PBE",
  "state": "relaxed",
  "lattice_angstrom": [[0.000, 3.799, 3.799], [3.799, 0.000, 3.799], [3.799, 3.799, 0.000]],
  "species": ["Tb", "Tb", "Ir", "Ir", "Ir", "Ir"],
  "fractional_positions": [[0.125, 0.125, 0.125], [0.875, 0.875, 0.875], [0.000, 0.500, 0.500], [0.500, 0.000, 0.500], [0.500, 0.500, 0.000], [0.500, 0.500, 0.500]],
  "final_energy_ev_per_atom": -8.26,
  "formation_energy_mev_per_atom": -819
}